Arrangement a

An optimized crystal structure of Li3Ga. Source: the Materials Project, functional PBE.

Cell: 6.3414 6.3414 6.3414 Å, 90.00 90.00 90.00°
Space group Fm-3m (No. 225)
Symmetry-distinct sites (fractional):
Li 0.0000 0.0000 0.0000 (multiplicity 4)
Li 0.2500 0.2500 0.2500 (multiplicity 8)
Ga 0.0000 0.0000 0.5000 (multiplicity 4)

Summary:
calculated density: 2358 kg/m3
calculated volume: 255 Å³ per cell

Arrangement b

An optimized crystal structure of Li3Ga. Source: the Materials Project, functional PBE.

Cell: 3.9054 3.9054 8.4816 Å, 90.00 90.00 90.00°
Space group I4/mmm (No. 139)
Symmetry-distinct sites (fractional):
Li 0.0000 0.0000 0.0000 (multiplicity 2)
Li 0.0000 0.5000 0.2500 (multiplicity 4)
Ga 0.0000 0.0000 0.5000 (multiplicity 2)

Summary:
calculated density: 2325 kg/m3
calculated volume: 129 Å³ per cell

Need the numbers? Relative energies in kJ/mol of atoms: arrangement a 0.0; arrangement b 0.9.

Arrangement a

An optimized crystal structure of Lu5Ga3. Source: the Materials Project, functional PBE.

Cell: 8.4499 8.4499 6.3226 Å, 90.00 90.00 120.00°
Space group P6_3/mcm (No. 193)
Symmetry-distinct sites (fractional):
Lu 0.0000 0.2414 0.2500 (multiplicity 6)
Lu 0.3333 0.6667 0.0000 (multiplicity 4)
Ga 0.0000 0.4012 0.7500 (multiplicity 6)

Summary:
calculated density: 9208 kg/m3
calculated volume: 391 Å³ per cell

Arrangement b

An optimized crystal structure of Lu5Ga3. Source: the Materials Project, functional PBE.

Cell: 8.4314 14.5994 6.3476 Å, 90.00 91.47 90.00°
Space group C2/m (No. 12)
Symmetry-distinct sites (fractional):
Lu 0.0000 0.1486 0.0000 (multiplicity 4)
Lu 0.0000 0.1817 0.5000 (multiplicity 4)
Lu 0.1215 0.3783 0.2374 (multiplicity 8)
Lu 0.2335 0.5000 0.7280 (multiplicity 4)
Ga 0.0967 0.0000 0.6943 (multiplicity 4)
Ga 0.2012 0.2987 0.7843 (multiplicity 8)

Summary:
calculated density: 9218 kg/m3
calculated volume: 781 Å³ per cell

Need the numbers? Relative energies in kJ/mol of atoms: arrangement a 1.1; arrangement b 0.0.